[1]
Ba4Cu3MoO12: optimized geometry, GGA+U.

Lattice parameters (Å, degrees): 7.030 7.030 7.030 109.47 109.47 109.47
Element x y z (fractional)
Ba  0.000  0.000  0.500
Ba  0.000  0.500  0.000
Ba  0.500  0.000  0.000
Ba  0.500  0.500  0.500
Cu  0.000  0.500  0.500
Cu  0.500  0.000  0.500
Cu  0.500  0.500  0.000
Mo  0.000  0.000  0.000
O  0.000  0.240  0.240
O  0.000  0.760  0.760
O  0.240  0.000  0.240
O  0.240  0.240  0.000
O  0.250  0.500  0.750
O  0.250  0.750  0.500
O  0.500  0.250  0.750
O  0.500  0.750  0.250
O  0.750  0.250  0.500
O  0.750  0.500  0.250
O  0.760  0.000  0.760
O  0.760  0.760  0.000

Summary:
Energy relative to the elements in eV per atom: -1.991
Symmetry: Im-3m (229)
Electronic total energy in eV per atom: -5.929


[2]
Ba4Nd2Cu6NiO15: optimized geometry, GGA+U.

Lattice parameters (Å, degrees): 25.112 25.112 25.112 171.07 170.99 12.70
Element x y z (fractional)
Ba  0.000  0.000  0.000
Ba  0.084  0.084  0.000
Ba  0.235  0.235  0.000
Ba  0.849  0.849  0.000
Nd  0.159  0.159  0.000
Nd  0.924  0.924  0.000
Cu  0.304  0.304  0.000
Cu  0.461  0.461  0.000
Cu  0.542  0.542  0.000
Cu  0.623  0.623  0.000
Cu  0.696  0.696  0.000
Cu  0.780  0.780  0.000
Ni  0.386  0.386  0.000
O  0.042  0.542  0.500
O  0.129  0.629  0.500
O  0.191  0.691  0.500
O  0.296  0.796  0.500
O  0.345  0.345  0.000
O  0.394  0.894  0.500
O  0.455  0.955  0.500
O  0.505  0.505  0.000
O  0.580  0.580  0.000
O  0.629  0.129  0.500
O  0.690  0.190  0.500
O  0.740  0.740  0.000
O  0.789  0.289  0.500
O  0.894  0.394  0.500
O  0.955  0.455  0.500

Summary:
Energy relative to the elements in eV per atom: -2.061
Symmetry: Imm2 (44)
Electronic total energy in eV per atom: -5.953